Entry 1:
Below is crystalline MgMn2O4 at its relaxed geometry, with properties calculated at the PBE+U level.

Output
As for the energy of formation: -2.195 eV per atom. The value obtained for the total magnetization is 8.01 μB/f.u. The calculation puts the offset from the most stable computed form at 1.024 eV/f.u. As for the energy with MP2020 corrections: -7.87 eV/atom.

Cell lengths 4.084, 6.342, 3.007 Å; angles 90.00, 90.00, 90.00 degrees
Element x y z (fractional)
Mn  0.750  0.352  0.750
Mn  0.250  0.636  0.250
O  0.750  0.131  0.250
O  0.750  0.635  0.250
O  0.250  0.833  0.750
O  0.250  0.426  0.750
Mg  0.750  0.914  0.750

Entry 2:
Below is crystalline K3Fe3P4H2O17 at its relaxed geometry, with properties calculated at the PBE+U level.

Output
As for the energy of formation: -2.346 eV per atom. The value obtained for the total magnetization is 5.00 μB/f.u. As for the energy with MP2020 corrections: -7.22 eV/atom.

Cell lengths 6.631, 10.914, 21.043 Å; angles 90.00, 90.00, 90.00 degrees
Element x y z (fractional)
O  0.310  0.274  0.665
O  0.215  0.499  0.158
O  0.407  0.250  0.500
O  0.039  0.856  0.746
O  0.961  0.144  0.254
O  0.184  0.722  0.837
O  0.810  0.726  0.165
O  0.729  0.997  0.464
O  0.996  0.886  0.399
O  0.593  0.750  0.500
O  0.271  0.497  0.464
O  0.810  0.774  0.835
O  0.486  0.882  0.899
O  0.229  0.003  0.964
O  0.535  0.639  0.754
O  0.514  0.382  0.899
O  0.771  0.997  0.036
O  0.004  0.386  0.399
O  0.785  0.999  0.158
O  0.004  0.114  0.601
O  0.715  0.999  0.342
O  0.771  0.503  0.964
O  0.907  0.750  0.000
O  0.039  0.644  0.254
O  0.014  0.618  0.399
O  0.514  0.118  0.101
O  0.539  0.356  0.754
O  0.535  0.861  0.246
O  0.965  0.639  0.746
O  0.093  0.250  0.000
O  0.684  0.278  0.337
O  0.961  0.356  0.746
O  0.316  0.778  0.337
O  0.496  0.114  0.899
O  0.496  0.386  0.101
O  0.816  0.222  0.837
O  0.486  0.618  0.101
O  0.690  0.774  0.665
O  0.715  0.501  0.658
O  0.190  0.274  0.835
O  0.690  0.726  0.335
O  0.504  0.886  0.101
O  0.316  0.722  0.663
O  0.465  0.361  0.246
O  0.035  0.361  0.254
O  0.285  0.499  0.342
O  0.461  0.644  0.246
O  0.184  0.778  0.163
O  0.986  0.382  0.601
O  0.190  0.226  0.165
O  0.539  0.144  0.246
O  0.310  0.226  0.335
O  0.229  0.497  0.036
O  0.465  0.139  0.754
O  0.271  0.003  0.536
O  0.215  0.001  0.842
O  0.996  0.614  0.601
O  0.684  0.222  0.663
O  0.729  0.503  0.536
O  0.504  0.614  0.899
O  0.816  0.278  0.163
O  0.785  0.501  0.842
O  0.965  0.861  0.254
O  0.035  0.139  0.746
O  0.986  0.118  0.399
O  0.014  0.882  0.601
O  0.461  0.856  0.754
O  0.285  0.001  0.658
K  0.814  0.250  0.500
K  0.686  0.250  0.000
K  0.642  0.511  0.404
K  0.858  0.511  0.096
K  0.142  0.011  0.096
K  0.358  0.489  0.596
K  0.314  0.750  0.000
K  0.642  0.989  0.596
K  0.186  0.750  0.500
K  0.858  0.989  0.904
K  0.142  0.489  0.904
K  0.358  0.011  0.404
H  0.822  0.681  0.987
H  0.678  0.819  0.487
H  0.322  0.319  0.487
H  0.178  0.181  0.987
H  0.822  0.819  0.013
H  0.678  0.681  0.513
H  0.322  0.181  0.513
H  0.178  0.319  0.013
P  0.148  0.001  0.598
P  0.500  0.253  0.295
P  0.648  0.501  0.902
P  0.500  0.747  0.705
P  0.500  0.247  0.705
P  0.000  0.747  0.795
P  0.148  0.499  0.402
P  0.000  0.247  0.795
P  0.852  0.501  0.598
P  0.352  0.499  0.098
P  0.852  0.999  0.402
P  0.000  0.753  0.205
P  0.500  0.753  0.295
P  0.000  0.253  0.205
P  0.648  0.999  0.098
P  0.352  0.001  0.902
Fe  0.250  0.502  0.250
Fe  0.999  0.748  0.662
Fe  0.499  0.248  0.838
Fe  0.250  0.998  0.750
Fe  0.750  0.002  0.250
Fe  0.999  0.752  0.338
Fe  0.001  0.252  0.338
Fe  0.001  0.248  0.662
Fe  0.750  0.498  0.750
Fe  0.501  0.752  0.162
Fe  0.499  0.252  0.162
Fe  0.501  0.748  0.838

Entry 3:
Below is crystalline RbLi2Cr2B3O9 at its relaxed geometry, with properties calculated at the PBE+U level.

Output
As for the energy of formation: -2.519 eV per atom. The value obtained for the total magnetization is 6.00 μB/f.u. As for the energy with MP2020 corrections: -7.73 eV/atom.

Cell lengths 5.295, 5.673, 12.932 Å; angles 87.63, 90.00, 90.00 degrees
Element x y z (fractional)
O  0.708  0.609  0.531
O  0.387  0.071  0.580
O  0.947  0.193  0.560
O  0.649  0.500  0.750
O  0.053  0.193  0.060
O  0.246  0.592  0.666
O  0.292  0.391  0.469
O  0.387  0.929  0.920
O  0.613  0.929  0.420
O  0.754  0.592  0.166
O  0.754  0.408  0.334
O  0.292  0.609  0.031
O  0.246  0.408  0.834
O  0.613  0.071  0.080
O  0.351  0.500  0.250
O  0.947  0.807  0.940
O  0.708  0.391  0.969
O  0.053  0.807  0.440
Rb  0.753  0.000  0.750
Rb  0.247  0.000  0.250
B  0.197  0.216  0.540
B  0.803  0.784  0.460
B  0.393  0.500  0.750
B  0.197  0.784  0.960
B  0.607  0.500  0.250
B  0.803  0.216  0.040
Cr  0.354  0.733  0.529
Cr  0.646  0.267  0.471
Cr  0.354  0.267  0.971
Cr  0.646  0.733  0.029
Li  0.099  0.512  0.354
Li  0.099  0.488  0.146
Li  0.901  0.512  0.854
Li  0.901  0.488  0.646

Entry 4:
Below is crystalline Sb3W20O60 at its relaxed geometry, with properties calculated at the PBE+U level.

Output
As for the energy of formation: -2.093 eV per atom. The value obtained for the total magnetization is 6.98 μB/f.u. As for the energy with MP2020 corrections: -8.94 eV/atom.

Cell lengths 12.949, 12.858, 10.800 Å; angles 65.70, 64.82, 49.48 degrees
Element x y z (fractional)
O  0.149  0.718  0.851
O  0.255  0.008  0.246
O  0.202  0.449  0.298
O  0.724  0.777  0.276
O  0.754  0.508  0.745
O  0.798  0.551  0.202
O  0.532  0.785  0.219
O  0.474  0.026  0.026
O  0.974  0.526  0.526
O  0.717  0.150  0.781
O  0.352  0.781  0.150
O  0.750  0.250  0.500
O  0.738  0.989  0.262
O  0.302  0.052  0.698
O  0.585  0.538  0.415
O  0.917  0.961  0.585
O  0.702  0.948  0.798
O  0.507  0.756  0.493
O  0.781  0.536  0.468
O  0.500  0.500  0.250
O  0.282  0.851  0.718
O  0.850  0.283  0.648
O  0.034  0.282  0.216
O  0.647  0.218  0.353
O  0.551  0.798  0.948
O  0.462  0.415  0.538
O  0.031  0.284  0.719
O  0.492  0.246  0.008
O  0.025  0.476  0.975
O  0.415  0.464  0.083
O  0.215  0.468  0.536
O  0.284  0.031  0.466
O  0.468  0.216  0.282
O  0.219  0.648  0.283
O  0.718  0.966  0.532
O  0.281  0.034  0.969
O  0.524  0.975  0.476
O  0.992  0.745  0.508
O  0.449  0.202  0.551
O  0.784  0.532  0.966
O  0.536  0.585  0.961
O  0.244  0.493  0.756
O  0.948  0.698  0.052
O  0.782  0.353  0.218
O  0.534  0.781  0.716
O  0.219  0.466  0.031
O  0.464  0.219  0.785
O  0.969  0.898  0.031
O  0.716  0.969  0.034
O  0.778  0.722  0.722
O  0.966  0.719  0.284
O  0.011  0.262  0.989
O  0.278  0.222  0.222
O  0.052  0.298  0.449
O  0.998  0.002  0.750
O  0.250  0.750  0.002
O  0.969  0.716  0.781
O  0.039  0.083  0.464
O  0.223  0.276  0.777
O  0.102  0.031  0.898
W  0.913  0.408  0.087
W  0.337  0.338  0.663
W  0.366  0.634  0.134
W  0.340  0.340  0.160
W  0.866  0.134  0.634
W  0.407  0.907  0.593
W  0.125  0.875  0.875
W  0.662  0.663  0.338
W  0.845  0.844  0.155
W  0.407  0.912  0.092
W  0.160  0.160  0.340
W  0.588  0.092  0.912
W  0.156  0.155  0.844
W  0.660  0.660  0.840
W  0.088  0.593  0.412
W  0.840  0.840  0.660
W  0.093  0.593  0.907
W  0.634  0.366  0.366
W  0.908  0.412  0.593
W  0.592  0.087  0.408
Sb  0.099  0.901  0.424
Sb  0.412  0.588  0.588
Sb  0.576  0.424  0.901

Entry 5:
Below is crystalline Li2MnP2O7 at its relaxed geometry, with properties calculated at the PBE+U level.

Output
As for the energy of formation: -2.628 eV per atom. The value obtained for the total magnetization is 5.00 μB/f.u. The calculation puts the offset from the most stable computed form at 0.520 eV/f.u. As for the energy with MP2020 corrections: -7.50 eV/atom.

Cell lengths 13.315, 5.130, 9.504 Å; angles 59.41, 90.00, 90.00 degrees
Element x y z (fractional)
O  0.694  0.003  0.398
O  0.061  0.520  0.351
O  0.210  0.576  0.927
O  0.430  0.297  0.371
O  0.252  0.230  0.308
O  0.561  0.480  0.149
O  0.979  0.795  0.777
O  0.021  0.205  0.223
O  0.939  0.480  0.649
O  0.710  0.424  0.573
O  0.891  0.238  0.405
O  0.290  0.576  0.427
O  0.391  0.762  0.095
O  0.248  0.230  0.808
O  0.070  0.297  0.871
O  0.930  0.703  0.129
O  0.479  0.205  0.723
O  0.109  0.762  0.595
O  0.790  0.424  0.073
O  0.609  0.238  0.905
O  0.748  0.770  0.692
O  0.806  0.003  0.898
O  0.752  0.770  0.192
O  0.570  0.703  0.629
O  0.194  0.997  0.102
O  0.521  0.795  0.277
O  0.306  0.997  0.602
O  0.439  0.520  0.851
Li  0.840  0.023  0.279
Li  0.821  0.419  0.864
Li  0.160  0.977  0.721
Li  0.321  0.581  0.636
Li  0.660  0.023  0.779
Li  0.179  0.581  0.136
Li  0.340  0.977  0.221
Li  0.679  0.419  0.364
P  0.021  0.598  0.712
P  0.479  0.598  0.212
P  0.185  0.278  0.930
P  0.815  0.722  0.070
P  0.685  0.722  0.570
P  0.315  0.278  0.430
P  0.979  0.402  0.288
P  0.521  0.402  0.788
Mn  0.636  0.123  0.149
Mn  0.136  0.877  0.351
Mn  0.864  0.123  0.649
Mn  0.364  0.877  0.851

Entry 6:
Below is crystalline Ca2PdWO6 at its relaxed geometry, with properties calculated at the PBE+U level.

Output
As for the energy of formation: -2.221 eV per atom. The value obtained for the total magnetization is 2.00 μB/f.u. The calculation puts the offset from the most stable computed form at 0.000 eV/f.u. As for the energy with MP2020 corrections: -7.41 eV/atom.

Cell lengths 5.811, 5.811, 5.811 Å; angles 122.00, 116.65, 91.24 degrees
Element x y z (fractional)
O  0.720  0.763  0.957
O  0.722  0.777  0.500
O  0.180  0.743  0.923
O  0.195  0.237  0.957
O  0.180  0.257  0.437
O  0.722  0.223  0.945
Pd  0.484  0.500  0.984
Ca  0.827  0.252  0.576
Ca  0.324  0.748  0.576
W  0.975  0.000  0.975